Record 1
Material: RbSr2Br5
Method: DFT, meta-GGA r2SCAN
State: optimized geometry

The structure in POSCAR format:
```
RbSr2Br5
1.0
-5.5402 5.2662 -3.4780
-5.9396 -1.4790 7.2219
5.5268 10.2299 6.6856
Rb Sr Br
4 8 20
Direct
0.4481 0.4913 0.8329
0.5519 0.5087 0.1671
0.9481 0.5087 0.6671
0.0519 0.4913 0.3329
0.4760 0.9985 0.8215
0.5240 0.0015 0.1785
0.9760 0.0015 0.6785
0.0240 0.9985 0.3215
0.4308 0.7518 0.5061
0.5692 0.2482 0.4939
0.9308 0.2482 0.9939
0.0692 0.7518 0.0061
0.3256 0.4633 0.5824
0.6744 0.5367 0.4176
0.8256 0.5367 0.9176
0.1744 0.4633 0.0824
0.6668 0.7847 0.6839
0.3332 0.2153 0.3161
0.1668 0.2153 0.8161
0.8332 0.7847 0.1839
0.1908 0.7730 0.7830
0.8092 0.2270 0.2170
0.6908 0.2270 0.7170
0.3092 0.7730 0.2830
0.0462 0.7867 0.5019
0.9538 0.2133 0.4981
0.5462 0.2133 0.9981
0.4538 0.7867 0.0019
0.8392 0.9605 0.9006
0.1608 0.0395 0.0994
0.3392 0.0395 0.5994
0.6608 0.9605 0.4006
```

## Properties
- Crystal system: monoclinic
- SG: No. 14

---

Record 2
Material: Ca2YVO6
Method: DFT, meta-GGA r2SCAN
State: optimized geometry

The structure in POSCAR format:
```
Ca2YVO6
1.0
0.0000 4.0189 4.0189
4.0189 0.0000 4.0189
4.0189 4.0189 0.0000
Ca Y V O
2 1 1 6
Direct
0.2500 0.2500 0.2500
0.7500 0.7500 0.7500
0.0000 0.0000 0.0000
0.5000 0.5000 0.5000
0.7314 0.2686 0.2686
0.2686 0.7314 0.7314
0.2686 0.7314 0.2686
0.7314 0.2686 0.7314
0.2686 0.2686 0.7314
0.7314 0.7314 0.2686
```

## Properties
- Crystal system: cubic
- SG: No. 225

---

Record 3
Material: Na5Zr2F13
Method: DFT, meta-GGA r2SCAN
State: optimized geometry

The structure in POSCAR format:
```
Na5Zr2F13
1.0
-3.5365 3.8627 1.5630
-2.1585 -4.0538 -4.4209
-2.1147 -4.6288 6.6546
Na Zr F
5 2 13
Direct
0.3356 0.6712 0.0717
0.7781 0.5563 0.3456
0.5000 0.0000 0.5000
0.2219 0.4437 0.6544
0.6644 0.3288 0.9283
0.9264 0.8528 0.7547
0.0736 0.1472 0.2453
0.4221 0.3655 0.1430
0.6972 0.8744 0.2507
0.9434 0.3655 0.1430
0.0940 0.7316 0.5678
0.3028 0.1256 0.7493
0.5779 0.6345 0.8570
0.0566 0.6345 0.8570
0.6376 0.7316 0.5678
0.3624 0.2684 0.4322
0.9060 0.2684 0.4322
0.1772 0.8744 0.2507
0.8228 0.1256 0.7493
0.0000 0.0000 0.0000
```

## Properties
- Crystal system: monoclinic
- SG: No. 12

---

Computed calculated formation energy, in the same sequence as the records: -2329.9, -3038.9, -3579.8 meV per atom.
Computed E_tot, in the same sequence as the records: -16.14, -11.47, -8.78 eV/atom.